# GGA+U Sr2V3O9, optimized geometry
# DFT formation energy in eV per formula unit: -39.43
# Total DFT energy (no corrections) in eV for the cell shown: -206.6
# Offset from the most stable computed form in kcal/mol of atoms: 0.01
data_Sr2V3O9
_chemical_formula_sum 'Sr4 V6 O18'
_symmetry_space_group_name_H-M 'P 1'
_symmetry_Int_Tables_number 1
_cell_length_a 7.109
_cell_length_b 7.466
_cell_length_c 9.029
_cell_angle_alpha 103.41
_cell_angle_beta 101.81
_cell_angle_gamma 116.58
loop_
_symmetry_equiv_pos_as_xyz
'x,y,z'
loop_
_atom_site_label
_atom_site_type_symbol
_atom_site_fract_x
_atom_site_fract_y
_atom_site_fract_z
_atom_site_occupancy
Sr1 Sr 0.000 0.000 0.000 1
Sr2 Sr 0.178 0.671 0.347 1
Sr3 Sr 0.423 0.424 0.851 1
Sr4 Sr 0.602 0.104 0.199 1
V1 V 0.212 0.207 0.416 1
V2 V 0.392 0.893 0.782 1
V3 V 0.633 0.632 0.257 1
V4 V 0.798 0.075 0.590 1
V5 V 0.806 0.585 0.608 1
V6 V 0.969 0.467 0.940 1
O1 O 0.004 0.263 0.822 1
O2 O 0.040 0.258 0.290 1
O3 O 0.080 0.111 0.549 1
O4 O 0.129 0.664 0.654 1
O5 O 0.224 0.688 0.058 1
O6 O 0.258 0.029 0.291 1
O7 O 0.348 0.070 0.910 1
O8 O 0.378 0.411 0.139 1
O9 O 0.472 0.439 0.546 1
O10 O 0.520 0.990 0.648 1
O11 O 0.563 0.838 0.905 1
O12 O 0.595 0.834 0.375 1
O13 O 0.764 0.728 0.132 1
O14 O 0.777 0.266 0.526 1
O15 O 0.790 0.550 0.378 1
O16 O 0.808 0.546 0.820 1
O17 O 0.840 0.370 0.067 1
O18 O 0.843 0.836 0.673 1